# GdInCu4, optimized geometry, DFT PBE
data_GdInCu4
_symmetry_space_group_name_H-M 'P 1'
_symmetry_Int_Tables_number 1
_symmetry_space_group_name_Hall 'P 1'
_cell_length_a 5.143
_cell_length_b 5.143
_cell_length_c 5.143
_cell_angle_alpha 60.00
_cell_angle_beta 60.00
_cell_angle_gamma 60.00
loop_
_atom_site_label
_atom_site_type_symbol
_atom_site_fract_x
_atom_site_fract_y
_atom_site_fract_z
_atom_site_occupancy
Gd1 Gd 0.000 0.000 0.000 1
In1 In 0.250 0.250 0.250 1
Cu1 Cu 0.625 0.625 0.125 1
Cu2 Cu 0.625 0.125 0.625 1
Cu3 Cu 0.125 0.625 0.625 1
Cu4 Cu 0.625 0.625 0.625 1
# Crystal system = cubic
# Space-group type = No. 216

---

# Y2Fe17C3, optimized geometry, DFT PBE
data_Y2Fe17C3
_symmetry_space_group_name_H-M 'P 1'
_symmetry_Int_Tables_number 1
_symmetry_space_group_name_Hall 'P 1'
_cell_length_a 8.341
_cell_length_b 8.648
_cell_length_c 8.648
_cell_angle_alpha 120.00
_cell_angle_beta 90.00
_cell_angle_gamma 90.00
loop_
_atom_site_label
_atom_site_type_symbol
_atom_site_fract_x
_atom_site_fract_y
_atom_site_fract_z
_atom_site_occupancy
Y1 Y 0.750 0.667 0.333 1
Y2 Y 0.250 0.333 0.667 1
Y3 Y 0.750 0.000 0.000 1
Y4 Y 0.250 0.000 0.000 1
Fe1 Fe 0.750 0.622 0.674 1
Fe2 Fe 0.250 0.378 0.326 1
Fe3 Fe 0.750 0.052 0.378 1
Fe4 Fe 0.250 0.948 0.326 1
Fe5 Fe 0.250 0.948 0.622 1
Fe6 Fe 0.750 0.052 0.674 1
Fe7 Fe 0.750 0.326 0.948 1
Fe8 Fe 0.250 0.674 0.622 1
Fe9 Fe 0.250 0.674 0.052 1
Fe10 Fe 0.750 0.326 0.378 1
Fe11 Fe 0.250 0.378 0.052 1
Fe12 Fe 0.750 0.622 0.948 1
Fe13 Fe 0.392 0.667 0.333 1
Fe14 Fe 0.608 0.333 0.667 1
Fe15 Fe 0.892 0.333 0.667 1
Fe16 Fe 0.108 0.667 0.333 1
Fe17 Fe 0.980 0.832 0.168 1
Fe18 Fe 0.020 0.168 0.832 1
Fe19 Fe 0.980 0.337 0.168 1
Fe20 Fe 0.480 0.168 0.832 1
Fe21 Fe 0.020 0.663 0.832 1
Fe22 Fe 0.520 0.832 0.168 1
Fe23 Fe 0.980 0.832 0.663 1
Fe24 Fe 0.480 0.663 0.832 1
Fe25 Fe 0.020 0.168 0.337 1
Fe26 Fe 0.520 0.337 0.168 1
Fe27 Fe 0.480 0.168 0.337 1
Fe28 Fe 0.520 0.832 0.663 1
Fe29 Fe 0.000 0.500 0.500 1
Fe30 Fe 0.000 0.000 0.500 1
Fe31 Fe 0.500 0.500 0.500 1
Fe32 Fe 0.000 0.500 0.000 1
Fe33 Fe 0.500 0.000 0.500 1
Fe34 Fe 0.500 0.500 0.000 1
C1 C 0.750 0.834 0.166 1
C2 C 0.250 0.166 0.834 1
C3 C 0.750 0.331 0.166 1
C4 C 0.250 0.669 0.834 1
C5 C 0.750 0.834 0.669 1
C6 C 0.250 0.166 0.331 1
# Crystal system = hexagonal
# ΔE to the lowest computed polymorph = 0.0000 eV/atom
# M_tot = 70.56 μB per cell
# Space-group type = No. 194

---

# TcPbO3, optimized geometry, DFT PBE
data_TcPbO3
_symmetry_space_group_name_H-M 'P 1'
_symmetry_Int_Tables_number 1
_symmetry_space_group_name_Hall 'P 1'
_cell_length_a 7.397
_cell_length_b 7.397
_cell_length_c 7.397
_cell_angle_alpha 60.00
_cell_angle_beta 60.00
_cell_angle_gamma 60.00
loop_
_atom_site_label
_atom_site_type_symbol
_atom_site_fract_x
_atom_site_fract_y
_atom_site_fract_z
_atom_site_occupancy
Tc1 Tc 0.125 0.125 0.125 1
Tc2 Tc 0.625 0.125 0.125 1
Tc3 Tc 0.125 0.125 0.625 1
Tc4 Tc 0.125 0.625 0.125 1
Pb1 Pb 0.625 0.625 0.625 1
Pb2 Pb 0.125 0.625 0.625 1
Pb3 Pb 0.625 0.125 0.625 1
Pb4 Pb 0.625 0.625 0.125 1
O1 O 0.194 0.194 0.806 1
O2 O 0.806 0.806 0.194 1
O3 O 0.056 0.056 0.444 1
O4 O 0.806 0.194 0.806 1
O5 O 0.194 0.806 0.806 1
O6 O 0.806 0.194 0.194 1
O7 O 0.194 0.806 0.194 1
O8 O 0.444 0.056 0.056 1
O9 O 0.444 0.444 0.056 1
O10 O 0.056 0.444 0.444 1
O11 O 0.444 0.056 0.444 1
O12 O 0.056 0.444 0.056 1
# Crystal system = cubic
# M_tot = 8.08 μB per cell
# Space-group type = No. 227

---

# LiHo2Rh, optimized geometry, DFT PBE
data_LiHo2Rh
_symmetry_space_group_name_H-M 'P 1'
_symmetry_Int_Tables_number 1
_symmetry_space_group_name_Hall 'P 1'
_cell_length_a 4.921
_cell_length_b 4.921
_cell_length_c 4.921
_cell_angle_alpha 60.00
_cell_angle_beta 60.00
_cell_angle_gamma 60.00
loop_
_atom_site_label
_atom_site_type_symbol
_atom_site_fract_x
_atom_site_fract_y
_atom_site_fract_z
_atom_site_occupancy
Li1 Li 0.500 0.500 0.500 1
Ho1 Ho 0.250 0.250 0.250 1
Ho2 Ho 0.750 0.750 0.750 1
Rh1 Rh 0.000 0.000 0.000 1
# Crystal system = cubic
# Space-group type = No. 225

---

# HfTaB4, optimized geometry, DFT PBE
data_HfTaB4
_symmetry_space_group_name_H-M 'P 1'
_symmetry_Int_Tables_number 1
_symmetry_space_group_name_Hall 'P 1'
_cell_length_a 3.126
_cell_length_b 3.126
_cell_length_c 6.800
_cell_angle_alpha 90.00
_cell_angle_beta 90.00
_cell_angle_gamma 120.00
loop_
_atom_site_label
_atom_site_type_symbol
_atom_site_fract_x
_atom_site_fract_y
_atom_site_fract_z
_atom_site_occupancy
Hf1 Hf 0.000 0.000 0.000 1
Ta1 Ta 0.000 0.000 0.500 1
B1 B 0.667 0.333 0.744 1
B2 B 0.667 0.333 0.256 1
B3 B 0.333 0.667 0.744 1
B4 B 0.333 0.667 0.256 1
# Crystal system = hexagonal
# Space-group type = No. 191

---

# SrSi, optimized geometry, DFT PBE
data_SrSi
_symmetry_space_group_name_H-M 'P 1'
_symmetry_Int_Tables_number 1
_symmetry_space_group_name_Hall 'P 1'
_cell_length_a 11.357
_cell_length_b 11.357
_cell_length_c 11.357
_cell_angle_alpha 155.50
_cell_angle_beta 110.38
_cell_angle_gamma 75.04
loop_
_atom_site_label
_atom_site_type_symbol
_atom_site_fract_x
_atom_site_fract_y
_atom_site_fract_z
_atom_site_occupancy
Sr1 Sr 0.646 0.812 0.834 1
Sr2 Sr 0.023 0.188 0.834 1
Sr3 Sr 0.354 0.188 0.166 1
Sr4 Sr 0.709 0.000 0.709 1
Sr5 Sr 0.977 0.812 0.166 1
Sr6 Sr 0.000 0.000 0.000 1
Sr7 Sr 0.331 0.831 0.500 1
Sr8 Sr 0.291 0.000 0.291 1
Sr9 Sr 0.500 0.500 0.000 1
Sr10 Sr 0.669 0.169 0.500 1
Si1 Si 0.551 0.371 0.180 1
Si2 Si 0.223 0.568 0.655 1
Si3 Si 0.913 0.568 0.345 1
Si4 Si 0.142 0.642 0.500 1
Si5 Si 0.809 0.629 0.180 1
Si6 Si 0.087 0.432 0.655 1
Si7 Si 0.191 0.371 0.820 1
Si8 Si 0.449 0.629 0.820 1
Si9 Si 0.858 0.358 0.500 1
Si10 Si 0.777 0.432 0.345 1
# Crystal system = orthorhombic
# M_tot = 1.24 μB per cell
# Space-group type = No. 71

---

# BiOF, optimized geometry, DFT PBE
data_BiOF
_symmetry_space_group_name_H-M 'P 1'
_symmetry_Int_Tables_number 1
_symmetry_space_group_name_Hall 'P 1'
_cell_length_a 4.014
_cell_length_b 4.005
_cell_length_c 5.835
_cell_angle_alpha 89.99
_cell_angle_beta 90.00
_cell_angle_gamma 90.00
loop_
_atom_site_label
_atom_site_type_symbol
_atom_site_fract_x
_atom_site_fract_y
_atom_site_fract_z
_atom_site_occupancy
Bi1 Bi 0.256 0.752 0.283 1
Bi2 Bi 0.756 0.248 0.717 1
O1 O 0.253 0.249 0.501 1
O2 O 0.753 0.751 0.499 1
F1 F 0.247 0.242 0.002 1
F2 F 0.747 0.758 0.998 1
# Crystal system = monoclinic
# M_tot = 0.00 μB per cell
# Space-group type = No. 4

---

# ScCo3C, optimized geometry, DFT PBE
data_ScCo3C
_symmetry_space_group_name_H-M 'P 1'
_symmetry_Int_Tables_number 1
_symmetry_space_group_name_Hall 'P 1'
_cell_length_a 3.812
_cell_length_b 3.812
_cell_length_c 3.812
_cell_angle_alpha 90.00
_cell_angle_beta 90.00
_cell_angle_gamma 90.00
loop_
_atom_site_label
_atom_site_type_symbol
_atom_site_fract_x
_atom_site_fract_y
_atom_site_fract_z
_atom_site_occupancy
Sc1 Sc 0.000 0.000 0.000 1
Co1 Co 0.000 0.500 0.500 1
Co2 Co 0.500 0.000 0.500 1
Co3 Co 0.500 0.500 0.000 1
C1 C 0.500 0.500 0.500 1
# Crystal system = cubic
# Space-group type = No. 221

---

What are the E_form values for these records? In order: -150.9 -164.3 -798.0 -193.2 -489.9 -73.6 -640.8 -142.1 kJ/mol of formula units.